Below is a relaxed structure of Li5Cr3P4O16, with properties calculated at the PBE with a Hubbard U level.

- Total magnetic moment: 0.39 μB per atom
- Energy with MP2020 corrections: -7.610 eV/atom
- Theoretical density: 3.0 g/cm3

a = 5.012 Å, b = 8.018 Å, c = 8.588 Å
α = 110.01°, β = 90.56°, γ = 104.93°
Space group P1 (No. 1)
Inequivalent atoms, fractional coordinates:
Li 0.000 0.000 0.000 (multiplicity 1)
Li 0.064 0.122 0.396 (multiplicity 1)
Li 0.433 0.861 0.392 (multiplicity 1)
Li 0.597 0.072 0.808 (multiplicity 1)
Li 0.664 0.200 0.210 (multiplicity 1)
Cr 0.242 0.350 0.825 (multiplicity 1)
Cr 0.334 0.606 0.602 (multiplicity 1)
Cr 0.835 0.609 0.114 (multiplicity 1)
P 0.245 0.406 0.202 (multiplicity 1)
P 0.421 0.799 0.014 (multiplicity 1)
P 0.704 0.307 0.568 (multiplicity 1)
P 0.961 0.895 0.633 (multiplicity 1)
O 0.034 0.370 0.594 (multiplicity 1)
O 0.043 0.079 0.793 (multiplicity 1)
O 0.072 0.926 0.477 (multiplicity 1)
O 0.075 0.757 0.682 (multiplicity 1)
O 0.086 0.434 0.057 (multiplicity 1)
O 0.089 0.218 0.213 (multiplicity 1)
O 0.122 0.806 0.055 (multiplicity 1)
O 0.242 0.571 0.361 (multiplicity 1)
O 0.417 0.630 0.848 (multiplicity 1)
O 0.540 0.398 0.153 (multiplicity 1)
O 0.572 0.771 0.157 (multiplicity 1)
O 0.576 0.981 0.993 (multiplicity 1)
O 0.588 0.450 0.529 (multiplicity 1)
O 0.601 0.278 0.730 (multiplicity 1)
O 0.625 0.127 0.414 (multiplicity 1)
O 0.634 0.839 0.614 (multiplicity 1)